The following is a PBE calculation of crystalline MgTe2Mo3Se2S2 at its relaxed geometry, from the Materials Project.

The value obtained for the formation energy from the elements is -0.569 eV/atom. The calculation puts the energy relative to the lowest polymorph listed for this composition at 0.00 eV/f.u. The calculation puts the total energy at -6.037 eV/atom. As for the magnetization: 0.0075 μB/atom.

The structure belongs to space group Cm (No. 8); the cell edges are 5.817, 3.360 and 36.079 Å and the angles 90.00°, 90.35° and 90.00°. The inequivalent atoms are Mg at (0.000, 0.000, 0.000), Te at (0.001, 0.000, 0.403), Te at (0.497, 0.500, 0.298), Mo at (0.166, 0.500, 0.351), Mo at (0.166, 0.500, 0.884), Mo at (0.497, 0.500, 0.128), Se at (0.162, 0.500, 0.081), Se at (0.165, 0.500, 0.174), S at (0.001, 0.000, 0.926) and S at (0.498, 0.500, 0.842).

The following is a PBE calculation of crystalline Ce5Sn3 at its relaxed geometry, from the Materials Project.

The value obtained for the formation energy from the elements is -0.532 eV/atom. The calculation puts the energy relative to the lowest polymorph listed for this composition at 0.00 eV/f.u. The calculation puts the total energy at -5.744 eV/atom.

The structure belongs to space group I4/mcm (No. 140); the cell edges are 12.428, 12.428 and 6.104 Å and the angles 90.00°, 90.00° and 90.00°. The inequivalent atoms are Ce at (0.000, 0.500, 0.250), Ce at (0.083, 0.221, 0.000), Sn at (0.000, 0.000, 0.250) and Sn at (0.160, 0.340, 0.500).

The following is a PBE calculation of crystalline MgScGa at its relaxed geometry, from the Materials Project.

The value obtained for the formation energy from the elements is -0.289 eV/atom. The piezoelectric modulus e_max is 0.55 C/m². The calculation puts the total energy at -3.943 eV/atom. As for the magnetization: 0.0011 μB/atom.

The structure belongs to space group F-43m (No. 216); the cell edges are 6.478, 6.478 and 6.478 Å and the angles 90.00°, 90.00° and 90.00°. The inequivalent atoms are Mg at (0.000, 0.000, 0.000), Sc at (0.000, 0.000, 0.500) and Ga at (0.250, 0.250, 0.750).

The following is a PBE calculation of crystalline Eu3As4Pd4 at its relaxed geometry, from the Materials Project.

The value obtained for the formation energy from the elements is -0.943 eV/atom. The calculation puts the total energy at -7.318 eV/atom.

The structure belongs to space group Pmmm (No. 47); the cell edges are 4.179, 4.361 and 12.912 Å and the angles 90.00°, 90.00° and 90.00°. The inequivalent atoms are Eu at (0.000, 0.000, 0.000), Eu at (0.000, 0.500, 0.299), As at (0.500, 0.000, 0.382), As at (0.500, 0.500, 0.100), Pd at (0.000, 0.000, 0.500), Pd at (0.500, 0.000, 0.189) and Pd at (0.500, 0.500, 0.500).